Model 1:
Entry from the Materials Project: a geometry-optimized LiSn2P3O10 structure (PBE).

Unit cell a=5.0793 b=9.2187 c=10.0510 alpha=90.00 beta=94.63 gamma=90.00
Closest atoms and distances in Å follow each position.
Space group P2_1/m (No. 11)
Unique sites:
Li (0.0000, 0.0000, 0.0000)  4 O 2.07-2.09
Sn (0.0274, 0.0579, 0.3264)  3 O 2.28-2.35
P (0.2919, 0.2500, 0.8370)  4 O 1.52-1.60
P (0.4176, 0.2500, 0.1237)  4 O 1.50-1.65
P (0.4407, 0.7500, 0.4322)  4 O 1.52-1.66
O (0.1302, 0.1109, 0.8363)  1 P 1.52
O (0.2498, 0.1109, 0.1379)  1 P 1.55
O (0.2786, 0.6110, 0.4441)  1 P 1.53
O (0.2985, 0.2500, 0.4824)  1 P 1.52
O (0.3192, 0.7500, 0.7960)  1 P 1.50
O (0.4949, 0.2500, 0.7276)  2 P 1.57-1.66
O (0.4954, 0.2500, 0.9674)  2 P 1.60-1.65



Model 2:
Entry from the Materials Project: a geometry-optimized LiSn2P3O10 structure (PBE).

Unit cell a=12.3086 b=7.8491 c=10.3081 alpha=90.00 beta=101.51 gamma=90.00
Closest atoms and distances in Å follow each position.
Space group P2_1/c (No. 14)
Unique sites:
Li (0.1599, 0.1539, 0.1173)  4 O 2.01-2.22
Sn (0.1279, 0.5072, 0.9327)  3 O 2.25-2.39
Sn (0.4247, 0.6055, 0.8028)  3 O 2.13-2.33
P (0.0545, 0.0947, 0.8015)  4 O 1.52-1.63
P (0.2676, 0.5639, 0.4256)  4 O 1.50-1.61
P (0.3487, 0.2088, 0.4686)  4 O 1.51-1.64
O (0.0619, 0.5160, 0.7095)  1 P 1.54
O (0.0709, 0.1495, 0.6652)  1 P 1.52
O (0.0835, 0.2287, 0.9121)  1 P 1.54
O (0.1399, 0.5629, 0.3489)  2 P 1.61-1.63
O (0.2704, 0.5769, 0.5715)  1 P 1.50
O (0.2954, 0.0696, 0.3638)  1 P 1.58
O (0.2953, 0.2041, 0.5879)  1 P 1.51
O (0.3192, 0.7010, 0.3546)  1 P 1.51
O (0.3197, 0.1128, 0.8870)  2 P 1.61-1.64
O (0.4747, 0.1879, 0.4908)  1 P 1.53



model 2 (1.1 kJ/mol of atoms below the next structure)



Model 1:
Entry from the Materials Project: a geometry-optimized Li3Sn2P3O12 structure (PBE).

Unit cell a=8.9071 b=9.3891 c=12.5429 alpha=90.00 beta=94.04 gamma=90.00
Closest atoms and distances in Å follow each position.
Space group P2/c (No. 13)
Unique sites:
Li (0.0000, 0.0000, 0.0000)  6 O 2.23-2.44
Li (0.0000, 0.0721, 0.2500)  2 O 1.85
Li (0.2073, 0.2694, 0.5886)  4 O 1.90-2.10
Li (0.5000, 0.3678, 0.2500)  4 O 2.09-2.25
Li (0.5000, 0.5000, 0.0000)  2 O 2.11
Sn (0.2069, 0.4905, 0.3593)  6 O 1.99-2.14
Sn (0.3244, 0.0116, 0.1664)  3 O 2.25-2.44
P (0.0000, 0.2275, 0.7500)  4 O 1.54-1.56
P (0.1580, 0.3484, 0.1036)  4 O 1.53-1.58
P (0.2960, 0.1549, 0.4094)  4 O 1.52-1.61
P (0.5000, 0.3492, 0.7500)  4 O 1.51-1.62
O (0.0018, 0.4208, 0.1035)  1 P 1.55
O (0.0649, 0.1349, 0.6632)  1 P 1.54
O (0.1266, 0.3242, 0.8023)  1 P 1.56
O (0.1449, 0.1866, 0.0898)  1 P 1.53
O (0.1840, 0.1268, 0.3151)  1 P 1.52
O (0.2359, 0.0812, 0.5086)  1 P 1.55
O (0.2491, 0.4178, 0.0141)  1 P 1.57
O (0.2500, 0.3897, 0.2116)  1 P 1.58
O (0.2977, 0.3207, 0.4431)  1 P 1.61
O (0.3773, 0.2653, 0.6894)  1 P 1.51
O (0.4360, 0.4563, 0.8377)  1 P 1.62
O (0.4594, 0.1215, 0.3886)  1 P 1.53



Model 2:
Entry from the Materials Project: a geometry-optimized Li3Sn2P3O12 structure (PBE).

Unit cell a=8.9411 b=9.1297 c=15.5965 alpha=90.00 beta=122.67 gamma=90.00
Closest atoms and distances in Å follow each position.
Space group P2_1/c (No. 14)
Unique sites:
Li (0.0024, 0.2458, 0.3071)  4 O 1.89-2.00
Li (0.2014, 0.0752, 0.2878)  4 O 2.03-2.15
Li (0.3928, 0.2231, 0.1744)  3 O 2.03-2.05
Sn (0.1752, 0.5507, 0.4128)  3 O 2.20-2.30
Sn (0.3510, 0.5581, 0.1050)  6 O 2.05-2.12
P (0.0317, 0.0981, 0.6394)  4 O 1.52-1.59
P (0.2874, 0.5933, 0.6702)  4 O 1.52-1.58
P (0.4228, 0.2353, 0.4900)  4 O 1.52-1.58
O (0.0130, 0.0360, 0.3204)  1 P 1.52
O (0.0617, 0.2388, 0.7008)  1 P 1.54
O (0.1241, 0.6310, 0.9752)  1 P 1.59
O (0.1516, 0.6056, 0.7006)  1 P 1.53
O (0.2113, 0.0774, 0.6437)  1 P 1.58
O (0.2124, 0.5311, 0.5638)  1 P 1.52
O (0.2399, 0.1947, 0.9188)  1 P 1.53
O (0.3830, 0.7451, 0.6858)  1 P 1.58
O (0.4152, 0.1473, 0.5744)  1 P 1.58
O (0.4291, 0.0244, 0.2439)  1 P 1.58
O (0.4315, 0.6510, 0.4539)  1 P 1.52
O (0.4542, 0.1288, 0.4217)  1 P 1.57



Model 3:
Entry from the Materials Project: a geometry-optimized Li3Sn2P3O12 structure (PBE).

Unit cell a=8.7727 b=8.9090 c=15.6154 alpha=90.00 beta=122.59 gamma=90.00
Closest atoms and distances in Å follow each position.
Space group P2_1/c (No. 14)
Unique sites:
Li (0.0228, 0.2233, 0.3367)  4 O 2.09-2.19
Li (0.3967, 0.6102, 0.3107)  4 O 1.95-2.12
Li (0.3994, 0.2256, 0.2539)  4 O 1.95-2.05
Sn (0.1516, 0.5560, 0.4029)  6 O 2.04-2.16
Sn (0.3010, 0.5299, 0.0716)  2 O 2.12-2.27
P (0.0592, 0.0992, 0.6730)  4 O 1.53-1.58
P (0.2544, 0.5917, 0.6470)  4 O 1.52-1.59
P (0.4386, 0.2386, 0.9840)  4 O 1.52-1.58
O (0.0328, 0.7426, 0.8143)  1 P 1.58
O (0.0796, 0.0134, 0.4066)  1 P 1.55
O (0.0886, 0.5590, 0.6585)  1 P 1.59
O (0.1570, 0.0045, 0.7738)  1 P 1.57
O (0.1690, 0.6326, 0.5307)  1 P 1.59
O (0.2019, 0.1499, 0.6512)  1 P 1.53
O (0.2527, 0.1613, 0.9505)  1 P 1.58
O (0.3424, 0.7336, 0.7102)  1 P 1.53
O (0.3845, 0.0404, 0.1812)  1 P 1.52
O (0.4050, 0.6279, 0.4414)  1 P 1.58
O (0.4463, 0.2206, 0.3920)  1 P 1.52
O (0.4609, 0.1273, 0.5517)  1 P 1.53



Model 4:
Entry from the Materials Project: a geometry-optimized Li3Sn2P3O12 structure (PBE).

Unit cell a=9.0128 b=9.3543 c=16.2993 alpha=87.00 beta=73.99 gamma=61.23
Closest atoms and distances in Å follow each position.
Space group P1 (No. 1)
Unique sites:
Li (0.0000, 0.0000, 0.0000)  2 O 2.21-2.24
Li (0.0139, 0.9524, 0.3437)  2 O 1.94-2.13
Li (0.0635, 0.2515, 0.2496)  2 O 1.88
Li (0.1757, 0.4542, 0.8434)  2 O 1.94-2.10
Li (0.2570, 0.3383, 0.5347)  3 O 1.91-2.05
Li (0.3608, 0.8367, 0.0355)  3 O 1.91-2.05
Li (0.4892, 0.5101, 0.4955)  2 O 2.19-2.29
Li (0.6259, 0.1710, 0.9655)  3 O 1.91-2.06
Li (0.7272, 0.6715, 0.4657)  3 O 1.91-2.06
Li (0.8148, 0.5584, 0.1577)  2 O 1.94-2.11
Li (0.9229, 0.7565, 0.7498)  2 O 1.88-1.89
Li (0.9667, 0.0581, 0.6554)  2 O 1.94-2.12
Sn (0.2072, 0.5517, 0.0291)  6 O 2.05-2.16
Sn (0.2677, 0.5213, 0.3364)  3 O 2.14-2.29
Sn (0.2851, 0.9590, 0.4698)  6 O 2.05-2.16
Sn (0.3640, 0.0209, 0.8361)  3 O 2.14-2.30
Sn (0.6193, 0.9899, 0.1633)  3 O 2.14-2.28
Sn (0.6998, 0.0525, 0.5300)  6 O 2.05-2.16
Sn (0.7161, 0.4892, 0.6636)  3 O 2.14-2.30
Sn (0.7758, 0.4576, 0.9702)  6 O 2.06-2.16
P (0.0455, 0.7679, 0.1764)  4 O 1.52-1.60
P (0.0807, 0.7469, 0.5479)  4 O 1.52-1.61
P (0.1135, 0.2463, 0.0485)  4 O 1.52-1.61
P (0.4425, 0.6449, 0.8816)  4 O 1.51-1.59
P (0.4656, 0.8657, 0.6177)  4 O 1.52-1.59
P (0.4865, 0.7420, 0.3232)  4 O 1.52-1.60
P (0.4979, 0.2687, 0.6770)  4 O 1.52-1.60
P (0.5193, 0.1450, 0.3816)  4 O 1.51-1.59
P (0.5389, 0.3662, 0.1181)  4 O 1.51-1.59
P (0.8700, 0.7633, 0.9511)  4 O 1.52-1.61
P (0.9041, 0.2637, 0.4516)  4 O 1.52-1.61
P (0.9377, 0.2418, 0.8229)  4 O 1.52-1.60
O (0.0114, 0.7593, 0.9921)  1 P 1.58
O (0.0281, 0.1455, 0.5082)  1 P 1.61
O (0.0295, 0.3194, 0.1422)  1 P 1.53
O (0.0317, 0.6104, 0.1551)  1 P 1.60
O (0.0810, 0.7737, 0.2617)  1 P 1.52
O (0.1049, 0.0871, 0.8300)  1 P 1.54
O (0.1259, 0.5700, 0.5333)  1 P 1.52
O (0.1764, 0.3636, 0.9913)  1 P 1.61
O (0.2096, 0.7429, 0.0968)  1 P 1.60
O (0.2580, 0.7531, 0.5077)  1 P 1.58
O (0.2608, 0.0690, 0.0343)  1 P 1.52
O (0.2884, 0.9818, 0.5957)  1 P 1.57
O (0.2943, 0.8998, 0.3441)  1 P 1.60
O (0.2959, 0.8250, 0.8974)  1 P 1.54
O (0.3588, 0.5289, 0.9034)  1 P 1.57
O (0.3615, 0.1355, 0.4506)  1 P 1.59
O (0.3709, 0.2748, 0.7621)  1 P 1.52
O (0.4084, 0.4153, 0.2066)  1 P 1.51
O (0.4388, 0.2436, 0.5973)  1 P 1.60
O (0.4405, 0.3762, 0.0491)  1 P 1.59
O (0.4588, 0.9154, 0.7063)  1 P 1.52
O (0.4676, 0.5866, 0.3318)  1 P 1.54
O (0.4703, 0.3253, 0.3964)  1 P 1.54
O (0.5151, 0.6858, 0.6022)  1 P 1.53
O (0.5164, 0.4243, 0.6701)  1 P 1.54
O (0.5256, 0.0952, 0.2932)  1 P 1.51
O (0.5415, 0.6340, 0.9506)  1 P 1.59
O (0.5461, 0.7676, 0.4028)  1 P 1.60
O (0.5730, 0.5964, 0.7933)  1 P 1.51
O (0.6132, 0.7348, 0.2379)  1 P 1.52
O (0.6230, 0.4813, 0.0958)  1 P 1.57
O (0.6230, 0.8762, 0.5490)  1 P 1.59
O (0.6846, 0.1856, 0.1030)  1 P 1.54
O (0.6904, 0.1111, 0.6559)  1 P 1.60
O (0.6961, 0.0297, 0.4040)  1 P 1.57
O (0.7209, 0.9393, 0.9651)  1 P 1.52
O (0.7266, 0.2584, 0.4922)  1 P 1.58
O (0.7740, 0.2661, 0.9026)  1 P 1.60
O (0.8087, 0.6446, 0.0079)  1 P 1.61
O (0.8617, 0.4399, 0.4660)  1 P 1.52
O (0.8791, 0.9236, 0.1690)  1 P 1.54
O (0.9017, 0.2355, 0.7379)  1 P 1.52
O (0.9502, 0.4002, 0.8443)  1 P 1.60
O (0.9571, 0.6903, 0.8575)  1 P 1.53
O (0.9570, 0.8647, 0.4911)  1 P 1.61
O (0.9706, 0.2515, 0.0085)  1 P 1.58
O (0.9846, 0.1904, 0.3578)  1 P 1.53
O (0.9987, 0.8202, 0.6416)  1 P 1.53



model 3 (0.9 kJ/mol of atoms below the next structure)